Density functional theory data (PBE) for a geometry-optimized Ba3Sr5Ti8O24 structure.

Cell lengths 7.958, 7.958, 7.956 Å; angles 90.00, 90.00, 90.00 degrees
Atoms (fractional coordinates):
Ba  0.000  0.000  0.000
Ba  0.000  0.500  0.000
Ba  0.500  0.000  0.000
Sr  0.000  0.000  0.500
Sr  0.000  0.500  0.500
Sr  0.500  0.000  0.500
Sr  0.500  0.500  0.000
Sr  0.500  0.500  0.500
Ti  0.251  0.251  0.254
Ti  0.251  0.251  0.746
Ti  0.251  0.749  0.254
Ti  0.251  0.749  0.746
Ti  0.749  0.251  0.254
Ti  0.749  0.251  0.746
Ti  0.749  0.749  0.254
Ti  0.749  0.749  0.746
O  0.000  0.251  0.258
O  0.000  0.251  0.742
O  0.000  0.749  0.258
O  0.000  0.749  0.742
O  0.251  0.000  0.258
O  0.251  0.000  0.742
O  0.251  0.251  0.500
O  0.251  0.749  0.500
O  0.253  0.500  0.256
O  0.253  0.500  0.744
O  0.254  0.254  0.000
O  0.254  0.746  0.000
O  0.500  0.253  0.256
O  0.500  0.253  0.744
O  0.500  0.747  0.256
O  0.500  0.747  0.744
O  0.746  0.254  0.000
O  0.746  0.746  0.000
O  0.747  0.500  0.256
O  0.747  0.500  0.744
O  0.749  0.000  0.258
O  0.749  0.000  0.742
O  0.749  0.251  0.500
O  0.749  0.749  0.500

Calculated values
Energy with MP2020 corrections   -8.425 eV per atom
Total moment   0.000 μB per atom
Formation energy from the elements   -3.522 eV/atom
Space-group type   P4/mmm (123)